A relaxed Y3MgP3O12 crystal, computed with PBE.

Computed properties:
E_form   -3152 meV per atom

Cell lengths 6.2953, 7.0289, 7.0289 Å; angles 119.48, 90.00, 90.00 degrees
Closest atoms and distances in Å follow each position.
Positions (direct):
Y 0.6686 0.5000 0.0000  8 O 2.37-2.52
Y 0.0000 0.5000 0.5000  8 O 2.37-2.50
Y 0.3314 0.0000 0.5000  8 O 2.37-2.52
O 0.9875 0.1385 0.4432  1 P 1.55
O 0.6824 0.1439 0.6902  1 P 1.55
O 0.0125 0.4432 0.1385  1 P 1.55
O 0.6534 0.4488 0.3084  1 P 1.55
O 0.6534 0.5512 0.6916  1 P 1.55
O 0.9875 0.8615 0.5568  1 P 1.55
O 0.3466 0.6916 0.5512  1 P 1.55
O 0.3176 0.6902 0.1439  1 P 1.55
O 0.6824 0.8561 0.3098  1 P 1.55
O 0.3176 0.3098 0.8561  1 P 1.55
O 0.3466 0.3084 0.4488  1 P 1.55
O 0.0125 0.5568 0.8615  1 P 1.55
P 0.8349 0.0000 0.5000  4 O 1.55
P 0.5000 0.5000 0.5000  4 O 1.55
P 0.1651 0.5000 0.0000  4 O 1.55
Mg 0.5000 0.0000 0.0000  8 O 2.98-3.04